NaAl11O17 | r2SCAN | optimized geometry

a = 11.728 Å, b = 11.728 Å, c = 11.728 Å
α = 27.59°, β = 27.59°, γ = 27.59°
Sites, in units of the cell vectors:
Na1 0.000 0.000 0.000
Al1 0.175 0.175 0.175
Al2 0.232 0.728 0.728
Al3 0.275 0.275 0.275
Al4 0.374 0.374 0.374
Al5 0.419 0.921 0.921
Al6 0.475 0.475 0.475
Al7 0.728 0.232 0.728
Al8 0.728 0.728 0.232
Al9 0.825 0.825 0.825
Al10 0.921 0.419 0.921
Al11 0.921 0.921 0.419
O1 0.014 0.014 0.546
O2 0.014 0.546 0.014
O3 0.106 0.634 0.634
O4 0.122 0.122 0.122
O5 0.224 0.224 0.735
O6 0.224 0.735 0.224
O7 0.325 0.325 0.325
O8 0.422 0.422 0.919
O9 0.422 0.919 0.422
O10 0.528 0.528 0.528
O11 0.546 0.014 0.014
O12 0.634 0.106 0.634
O13 0.634 0.634 0.106
O14 0.730 0.730 0.730
O15 0.735 0.224 0.224
O16 0.919 0.422 0.422
O17 0.920 0.920 0.920

Output
The calculation puts the magnetization at 0.000 μB per formula unit. As for the space group: R3m. Its volume is 10.53 Å³/atom. The energy above the most stable polymorph in this dataset comes out at 2 meV/atom. Its formation energy is -3.2669 eV/atom.


Pr2ZnGa | r2SCAN | optimized geometry

a = 5.252 Å, b = 5.252 Å, c = 5.252 Å
α = 60.00°, β = 60.00°, γ = 60.00°
Sites, in units of the cell vectors:
Pr1 0.250 0.250 0.250
Pr2 0.750 0.750 0.750
Zn1 0.000 0.000 0.000
Ga1 0.500 0.500 0.500

Output
The calculation puts the magnetization at 0.000 μB per formula unit. As for the space group: Fm-3m. Its volume is 25.61 Å³/atom. Its formation energy is -0.4746 eV/atom.


V3AgO8 | r2SCAN | optimized geometry

a = 7.193 Å, b = 3.572 Å, c = 12.107 Å
α = 90.00°, β = 106.94°, γ = 90.00°
Sites, in units of the cell vectors:
V1 0.119 0.250 0.424
V2 0.259 0.250 0.693
V3 0.315 0.250 0.958
V4 0.685 0.750 0.042
V5 0.741 0.750 0.307
V6 0.881 0.750 0.576
Ag1 0.191 0.750 0.185
Ag2 0.809 0.250 0.815
O1 0.046 0.750 0.429
O2 0.140 0.250 0.824
O3 0.176 0.750 0.674
O4 0.195 0.250 0.054
O5 0.221 0.250 0.319
O6 0.312 0.250 0.552
O7 0.397 0.750 0.959
O8 0.477 0.250 0.782
O9 0.523 0.750 0.218
O10 0.603 0.250 0.041
O11 0.688 0.750 0.448
O12 0.779 0.750 0.681
O13 0.805 0.750 0.946
O14 0.824 0.250 0.326
O15 0.860 0.750 0.176
O16 0.954 0.250 0.571

Output
The calculation puts the magnetization at 0.000 μB per formula unit. As for the space group: P2_1/m. Its volume is 12.40 Å³/atom. Its formation energy is -2.1960 eV/atom.